An optimized crystal structure of PrIn2Rh. Source: the Materials Project database, functional PBE.

```
PrIn2Rh
1.0
4.462 0.000 0.000
0.000 10.363 0.000
0.000 0.000 8.055
Pr In Rh
4 8 4
direct
0.000 0.068 0.250
0.000 0.932 0.750
0.500 0.432 0.750
0.500 0.568 0.250
0.000 0.354 0.051
0.000 0.354 0.449
0.000 0.646 0.551
0.000 0.646 0.949
0.500 0.146 0.551
0.500 0.146 0.949
0.500 0.854 0.051
0.500 0.854 0.449
0.000 0.217 0.750
0.000 0.783 0.250
0.500 0.283 0.250
0.500 0.717 0.750
```

Computed properties:
- E_form (meV per atom) = -598